Record 1
Sr2GaSn2O7 | the Materials Project database | GGA-PBE | optimized geometry; volume = 15.98 Å³ per atom; SG = C2 (5)
1.0
2.8499 11.8283 0.0000
-2.8499 11.8283 0.0000
0.0000 1.3939 5.6895
Sr Ga Sn O
4 2 4 14
Cartesian
0.0418 20.9625 3.8279
0.0418 4.0881 1.8616
-0.0075 8.3510 0.7132
-0.0075 16.6996 4.9763
0.2326 18.1743 1.8996
0.2326 6.8763 3.7899
-0.0200 13.9328 2.4935
-0.0158 21.7508 0.5236
-0.0158 3.2998 5.1659
-0.0200 11.1178 3.1959
-1.4359 11.1131 4.7692
-0.7343 6.4523 2.2133
1.4404 11.0792 4.7404
-0.0952 5.4223 4.9536
-1.4387 14.9128 3.7359
1.3916 14.9161 3.7346
-0.7343 18.5983 3.4761
1.4404 13.9714 0.9491
-1.4359 13.9375 0.9202
-0.1451 16.4317 1.4985
-0.0952 19.6283 0.7359
-0.1451 8.6189 4.1910
-1.4387 10.1378 1.9536
1.3916 10.1345 1.9549

***

Record 2
K3Zr4Ag2F23 | the Materials Project database | GGA-PBE | optimized geometry; volume = 14.80 Å³ per atom; SG = P2_1/c (14)
1.0
11.4515 0.0000 0.0000
0.0000 8.0328 0.0000
0.0000 1.3129 10.2998
K Zr Ag F
6 8 4 46
Cartesian
5.9648 2.4939 1.4048
0.2390 6.1953 3.7450
5.4867 6.8518 8.8949
0.0000 0.0000 0.0000
11.2125 3.1504 6.5547
5.7258 0.6564 5.1499
7.8124 4.8251 4.7166
9.3649 5.4815 9.8665
9.2281 7.5594 6.8142
2.0867 3.8642 0.4332
2.2234 1.7863 3.4856
3.5024 2.4428 8.6354
7.9492 6.9029 1.6643
3.6391 4.5206 5.5831
3.8874 6.8194 1.9231
1.8384 7.4758 7.0730
7.5641 2.5263 8.3766
9.6132 1.8699 3.2267
8.9699 0.6792 5.1353
9.3365 3.0125 1.2596
0.0000 4.0164 0.0000
7.3210 0.4972 2.7113
3.3265 2.8256 1.9035
5.4325 2.3117 9.3650
10.4790 6.5992 8.3378
7.5925 4.9847 0.7054
3.6108 5.6767 3.8902
1.6856 3.3443 9.6676
8.2074 1.3357 10.2852
4.7533 3.4030 7.1118
3.2441 8.0100 0.0146
9.9073 3.9116 8.7221
4.1306 8.8485 7.5884
7.5347 4.2785 9.5218
9.0523 5.8637 3.2464
7.8408 3.6690 6.4095
4.0402 2.6878 4.5178
6.0191 7.0340 0.9348
0.9725 2.7465 1.9620
4.0662 0.5791 2.9979
9.5848 5.6412 5.8553
6.6983 5.9427 3.1879
0.2933 1.6552 4.2151
1.8090 5.7236 5.9278
7.4113 6.6579 5.7820
1.5952 8.1921 2.4385
4.1815 6.0905 6.7276
11.1582 7.6905 6.0847
1.8667 3.7045 4.4445
7.2700 3.2552 3.5722
9.8563 1.1536 7.8612
9.6426 3.6221 4.3719
1.5443 5.4341 1.5777
3.9168 5.0671 0.7780
9.7660 6.0014 0.6321
7.3853 8.7666 7.3018
8.1250 6.5201 8.3963
1.6595 1.2355 8.1478
2.1150 6.3332 9.0401
9.7920 8.1102 2.1519
2.3992 3.4820 7.0534
3.8590 4.3610 9.5944
2.4816 8.6665 5.1644
5.7258 4.6728 5.1499

***

Record 3
SrCuC4O10 | the Materials Project database | GGA-PBE | optimized geometry; volume = 19.26 Å³ per atom; SG = Pbca (61)
1.0
7.4904 0.0000 0.0000
0.0000 17.6496 0.0000
0.0000 0.0000 18.6523
Sr Cu C O
8 8 32 80
Cartesian
5.9700 16.6551 0.7695
5.2656 7.8303 17.8828
2.2248 0.9945 8.5567
1.5204 9.8192 10.0957
1.5204 0.9945 17.8828
2.2248 9.8192 0.7695
5.2656 16.6551 10.0957
5.9700 7.8303 8.5567
4.7949 14.0459 3.1227
6.4407 5.2212 15.5296
1.0497 3.6036 6.2034
2.6955 12.4284 12.4489
2.6955 3.6036 15.5296
1.0497 12.4284 3.1227
6.4407 14.0459 12.4489
4.7949 5.2212 6.2034
3.8334 14.6711 17.7423
7.4022 5.8463 0.9100
0.0882 2.9785 10.2362
3.6570 11.8033 8.4161
3.6570 2.9785 0.9100
0.0882 11.8033 17.7423
7.4022 14.6711 8.4161
3.8334 5.8463 10.2362
2.0375 16.1651 2.0355
1.7077 7.3403 16.6168
5.7827 1.4844 7.2906
5.4529 10.3092 11.3617
5.4529 1.4844 16.6168
5.7827 10.3092 2.0355
1.7077 16.1651 11.3617
2.0375 7.3403 7.2906
2.5779 12.6254 4.4875
1.1673 3.8006 14.1648
6.3231 5.0242 4.8387
4.9125 13.8490 13.8136
4.9125 5.0242 14.1648
6.3231 13.8490 4.4875
1.1673 12.6254 13.8136
2.5779 3.8006 4.8387
6.6537 0.6018 3.7434
4.5819 9.4266 14.9089
2.9085 17.0477 5.5827
0.8367 8.2229 13.0696
0.8367 17.0477 14.9089
2.9085 8.2229 3.7434
4.5819 0.6018 13.0696
6.6537 9.4266 5.5827
3.7717 15.8509 17.8660
7.4638 7.0262 0.7863
0.0265 1.7986 10.1125
3.7187 10.6234 8.5399
3.7187 1.7986 0.7863
0.0265 10.6234 17.8660
7.4638 15.8509 8.5399
3.7717 7.0262 10.1125
3.8883 13.5160 17.6189
7.3472 4.6912 1.0334
0.1432 4.1335 10.3596
3.6020 12.9583 8.2927
3.6020 4.1335 1.0334
0.1432 12.9583 17.6189
7.3472 13.5160 8.2927
3.8883 4.6912 10.3596
3.1216 16.6099 2.1307
0.6236 7.7851 16.5216
6.8668 1.0396 7.1954
4.3688 9.8644 11.4569
4.3688 1.0396 16.5216
6.8668 9.8644 2.1307
0.6236 16.6099 11.4569
3.1216 7.7851 7.1954
0.9609 15.7033 1.9455
2.7842 6.8785 16.7069
4.7061 1.9463 7.3807
6.5294 10.7711 11.2716
6.5294 1.9463 16.7069
4.7061 10.7711 1.9455
2.7842 15.7033 11.2716
0.9609 6.8785 7.3807
3.2662 13.5953 4.1193
0.4790 4.7705 14.5330
7.0114 4.0543 5.2068
4.2242 12.8790 13.4455
4.2242 4.0543 14.5330
7.0114 12.8790 4.1193
0.4790 13.5953 13.4455
3.2662 4.7705 5.2068
2.4687 11.8759 5.4256
1.2765 3.0511 13.2268
6.2139 5.7737 3.9006
5.0217 14.5985 14.7517
5.0217 5.7737 13.2268
6.2139 14.5985 5.4256
1.2765 11.8759 14.7517
2.4687 3.0511 3.9006
5.8499 17.4637 3.3861
5.3856 8.6389 15.2662
2.1047 0.1858 5.9400
1.6404 9.0106 12.7123
1.6404 0.1858 15.2662
2.1047 9.0106 3.3861
5.3856 17.4637 12.7123
5.8499 8.6389 5.9400
7.4225 1.3701 4.1733
3.8130 10.1949 14.4790
3.6773 16.2795 5.1529
0.0679 7.4547 13.4994
0.0679 16.2795 14.4790
3.6773 7.4547 4.1733
3.8130 1.3701 13.4994
7.4225 10.1949 5.1529
0.0432 16.8160 17.6887
3.7020 7.9912 0.9636
3.7884 0.8336 10.2898
7.4472 9.6584 8.3625
7.4472 0.8336 0.9636
3.7884 9.6584 17.6887
3.7020 16.8160 8.3625
0.0432 7.9912 10.2898
5.7341 14.5753 1.7819
5.5015 5.7505 16.8704
1.9889 3.0742 7.5442
1.7563 11.8990 11.1081
1.7563 3.0742 16.8704
1.9889 11.8990 1.7819
5.5015 14.5753 11.1081
5.7341 5.7505 7.5442

***

ΔH_f (0 K)
In order: -2371.8; -3390.1; -1540.0
Unit: meV/atom